A relaxed structure of EuSi2Ni9, computed with PBE-GGA.

Computed properties:
As for the formation energy from the elements: -463 kJ/mol of formula units. The calculation puts the calculated total energy at -155.86 eV for the cell shown.

Cell: 7.5930 7.5930 7.5930 Å, 99.60 99.60 131.78°
With the nearest neighbours (Å) after each atom.
Fractional positions:
Ni1 0.6882 0.6085 0.6719  2 Si 2.33-2.38, 8 Ni 2.42-2.61
Ni2 0.8585 0.6866 0.4203  2 Si 2.33-2.38, 8 Ni 2.42-2.61
Ni3 0.3134 0.7337 0.1719  2 Si 2.33-2.38, 8 Ni 2.42-2.61
Si1 0.1250 0.8750 0.2500  10 Ni 2.33-2.57
Ni4 0.2663 0.4382 0.5797  2 Si 2.33-2.38, 8 Ni 2.42-2.61
Ni5 0.5618 0.7337 0.4203  2 Si 2.33-2.38, 8 Ni 2.42-2.61
Ni6 0.8585 0.4382 0.1719  2 Si 2.33-2.38, 8 Ni 2.42-2.61
Eu1 0.7500 0.2500 0.5000  18 Ni 3.04-3.17, 4 Si 3.38
Ni7 0.2500 0.7500 0.5000  4 Si 2.57, 8 Ni 2.61
Ni8 0.3134 0.1415 0.5797  2 Si 2.33-2.38, 8 Ni 2.42-2.61
Ni9 0.0000 0.0000 0.0000  4 Si 2.57, 8 Ni 2.61
Ni10 0.9366 0.6085 0.9203  2 Si 2.33-2.38, 8 Ni 2.42-2.61
Ni11 0.3915 0.0634 0.0797  2 Si 2.33-2.38, 8 Ni 2.42-2.61
Ni12 0.9366 0.0163 0.3281  2 Si 2.33-2.38, 8 Ni 2.42-2.61
Ni13 0.6882 0.0163 0.0797  2 Si 2.33-2.38, 8 Ni 2.42-2.61
Ni14 0.5618 0.1415 0.8281  2 Si 2.33-2.38, 8 Ni 2.42-2.61
Si2 0.1250 0.8750 0.7500  10 Ni 2.33-2.57
Si3 0.1250 0.3750 0.2500  10 Ni 2.33-2.57
Ni15 0.2663 0.6866 0.8281  2 Si 2.33-2.38, 8 Ni 2.42-2.61
Ni16 0.3915 0.3118 0.3281  2 Si 2.33-2.38, 8 Ni 2.42-2.61
Eu2 0.5000 0.5000 0.0000  18 Ni 3.04-3.17, 4 Si 3.38
Si4 0.6250 0.8750 0.7500  10 Ni 2.33-2.57
Ni17 0.9837 0.3118 0.9203  2 Si 2.33-2.38, 8 Ni 2.42-2.61
Ni18 0.9837 0.0634 0.6719  2 Si 2.33-2.38, 8 Ni 2.42-2.61